# Ca9InP7O28

A relaxed Ca9InP7O28 crystal (PBE-GGA, the Materials Project).

## Properties
Formation energy ... -3.2281 eV/atom
Total energy after the MP2020 corrections ... -7.61 eV/atom
Total magnetic moment ... 0.000 μB per formula unit

Lattice parameters (Å, degrees): 10.5097 10.5097 37.6328 90.00 90.00 120.00
Space group R3c (No. 161, hexagonal axes)
One atom of each set of equivalent atoms:
Ca  0.0425  0.5087  0.0000 [18 per cell]
Ca  0.1870  0.3876  0.6335 [18 per cell]
Ca  0.1866  0.3918  0.7397 [18 per cell]
In  0.0000  0.0000  0.3986 [6 per cell]
P  0.0000  0.0000  0.1292 [6 per cell]
P  0.0123  0.4892  0.2006 [18 per cell]
P  0.1591  0.3523  0.4305 [18 per cell]
O  0.0000  0.0000  0.0878 [6 per cell]
O  0.0018  0.2757  0.7855 [18 per cell]
O  0.0266  0.2470  0.0153 [18 per cell]
O  0.0386  0.5114  0.2409 [18 per cell]
O  0.0664  0.3847  0.1874 [18 per cell]
O  0.0855  0.1782  0.4368 [18 per cell]
O  0.1025  0.4194  0.9450 [18 per cell]
O  0.1458  0.0100  0.6420 [18 per cell]
O  0.1501  0.3860  0.3913 [18 per cell]
O  0.1754  0.0787  0.8589 [18 per cell]

=====

# Na3InF6

A relaxed Na3InF6 crystal (PBE-GGA, the Materials Project).

## Properties
Formation energy ... -2.8345 eV/atom
Total energy after the MP2020 corrections ... -4.66 eV/atom
Total magnetic moment ... 0.001 μB per formula unit

Lattice parameters (Å, degrees): 8.570 8.570 8.570 90.00 90.00 90.00
Space group Fm-3m (No. 225)
One atom of each set of equivalent atoms:
Na  0.000  0.000  0.000 [4 per cell]
Na  0.250  0.250  0.250 [8 per cell]
In  0.000  0.000  0.500 [4 per cell]
F  0.000  0.000  0.257 [24 per cell]

=====

# CaIrO3

A relaxed CaIrO3 crystal (PBE-GGA, the Materials Project).

## Properties
Formation energy ... -1.7786 eV/atom
Total energy after the MP2020 corrections ... -6.92 eV/atom
Total magnetic moment ... 1.332 μB per formula unit

Lattice parameters (Å, degrees): 3.665 12.562 5.592 90.00 90.00 90.00
Space group Cmcm (No. 63)
One atom of each set of equivalent atoms:
Ca  0.000  0.198  0.250 [4 per cell]
Ir  0.000  0.500  0.000 [4 per cell]
O  0.000  0.005  0.250 [4 per cell]
O  0.000  0.349  0.502 [8 per cell]

=====

# Ni6W6C

A relaxed Ni6W6C crystal (PBE-GGA, the Materials Project).

## Properties
Formation energy ... -0.0879 eV/atom

Lattice parameters (Å, degrees): 10.925 10.925 10.925 90.00 90.00 90.00
Space group Fd-3m (No. 227, origin choice 2)
One atom of each set of equivalent atoms:
Ni  0.000  0.000  0.000 [16 per cell]
Ni  0.042  0.042  0.208 [32 per cell]
W  0.073  0.375  0.875 [48 per cell]
C  0.125  0.125  0.625 [8 per cell]